Record 1
Below is a relaxed structure of Tb2CdPd2, with properties calculated at the PBE-GGA level.

Summary:
raw total energy	-49.08	eV/cell
energy of formation	-797	meV per atom

Cell lengths 7.6547, 7.6547, 3.8505 Å; angles 90.00, 90.00, 90.00 degrees
Positions (direct):
Tb 0.1734 0.3266 0.0000
Tb 0.3266 0.8266 0.0000
Tb 0.6734 0.1734 0.0000
Tb 0.8266 0.6734 0.0000
Cd 0.0000 0.0000 0.5000
Cd 0.5000 0.5000 0.5000
Pd 0.1271 0.6271 0.5000
Pd 0.3729 0.1271 0.5000
Pd 0.6271 0.8729 0.5000
Pd 0.8729 0.3729 0.5000

---

Record 2
Below is a relaxed structure of Tb4CdPd, with properties calculated at the PBE-GGA level.

Summary:
raw total energy	-109.18	eV/cell
energy of formation	-442	meV per atom

Cell lengths 9.7674, 9.7674, 9.7674 Å; angles 60.00, 60.00, 60.00 degrees
Positions (direct):
Tb 0.1839 0.1839 0.8161
Tb 0.1839 0.8161 0.1839
Tb 0.1839 0.8161 0.8161
Tb 0.3967 0.3967 0.3967
Tb 0.3967 0.3967 0.8099
Tb 0.3967 0.8099 0.3967
Tb 0.5607 0.5607 0.9393
Tb 0.5607 0.9393 0.5607
Tb 0.5607 0.9393 0.9393
Tb 0.8099 0.3967 0.3967
Tb 0.8161 0.1839 0.1839
Tb 0.8161 0.1839 0.8161
Tb 0.8161 0.8161 0.1839
Tb 0.9393 0.5607 0.5607
Tb 0.9393 0.5607 0.9393
Tb 0.9393 0.9393 0.5607
Cd 0.1680 0.1680 0.1680
Cd 0.1680 0.1680 0.4961
Cd 0.1680 0.4961 0.1680
Cd 0.4961 0.1680 0.1680
Pd 0.1823 0.6059 0.6059
Pd 0.6059 0.1823 0.6059
Pd 0.6059 0.6059 0.1823
Pd 0.6059 0.6059 0.6059

---

Record 3
Below is a relaxed structure of TbCdPd2, with properties calculated at the PBE-GGA level.

Summary:
raw total energy	-18.82	eV/cell
energy of formation	-726	meV per atom

Cell lengths 4.8158, 4.8158, 4.8158 Å; angles 60.00, 60.00, 60.00 degrees
Positions (direct):
Tb 0.0000 0.0000 0.0000
Cd 0.5000 0.5000 0.5000
Pd 0.2500 0.2500 0.2500
Pd 0.7500 0.7500 0.7500